The following is a DFT calculation (PBE-GGA) of a geometry-optimized Ti2CdO6 structure.

a = 5.9572 Å, b = 6.0921 Å, c = 6.4757 Å
α = 90.00°, β = 95.21°, γ = 90.00°
Last column: nearest neighbours and their distance in Å.
Space group P2_1 (No. 4)
One atom of each set of equivalent atoms:
Ti1 0.0020 0.0000 0.1606 (multiplicity 2)  4 O 1.75-1.93
Ti2 0.4593 0.4250 0.5287 (multiplicity 2)  6 O 1.90-2.10
Cd1 0.0882 0.9950 0.6665 (multiplicity 2)  6 O 2.27-2.52
O1 0.0415 0.7893 0.9573 (multiplicity 2)  2 Ti 1.87-1.93
O2 0.1456 0.3619 0.6289 (multiplicity 2)  2 Ti 1.89-2.07
O3 0.2607 0.0358 0.3068 (multiplicity 2)  1 Ti 1.75
O4 0.3173 0.5150 0.2546 (multiplicity 2)  1 O 1.44
O5 0.3500 0.7367 0.6103 (multiplicity 2)  2 Ti 1.90-2.09
O6 0.4812 0.1472 0.7226 (multiplicity 2)  1 O 1.44

Calculated values
* MP2020-corrected energy: -7.29 eV/atom
* magnetization: 0.001 μB/f.u.
* energy relative to the elements: -2.133 eV/atom